This record from the Materials Project describes an optimized crystal structure of ThScFe6. The functional is GGA-PBE.

Results
DFT formation energy in eV per atom: -0.141
Crystal system: trigonal

Cell and atoms, written as extended XYZ:
```
24
Lattice="2.5196 1.4547 16.2824 -2.5196 1.4547 16.2824 0.0000 -2.9094 16.2824" Properties=species:S:1:pos:R:3 pbc="T T T"
Th 0.0000 0.0000 0.0000
Th 0.0000 0.0000 3.6047
Th 0.0000 0.0000 24.5619
Sc 0.0000 0.0000 21.1212
Sc 0.0000 0.0000 28.0601
Sc 0.0000 0.0000 45.4124
Fe 0.0000 -1.4611 10.3498
Fe -1.2653 0.7305 10.3498
Fe -1.2555 -0.7249 18.4297
Fe 0.0000 0.0000 8.2548
Fe 0.0000 0.0000 12.3164
Fe 0.0000 0.0000 16.3797
Fe 0.0000 -1.4481 30.5604
Fe -1.2541 0.7240 30.5604
Fe -1.2627 -0.7290 38.7831
Fe 1.2555 -0.7249 18.4297
Fe 0.0000 1.4498 18.4297
Fe 1.2653 0.7305 10.3498
Fe 0.0000 0.0000 32.6302
Fe 0.0000 0.0000 36.7813
Fe 0.0000 0.0000 40.8452
Fe 1.2541 0.7240 30.5604
Fe 1.2627 -0.7290 38.7832
Fe 0.0000 1.4580 38.7832
```